# 1
The following is a DFT calculation (PBE) of a relaxed structure of MgRe2O8.

## Properties
E above lowest polymorph	0.013	eV per atom
total energy after the MP2020 corrections	-8.3961	eV per atom
ΔH_f (0 K)	-2.39	eV per atom
V	180.3	Å³ per cell
total moment	0.00	μB/cell

Structure (extended XYZ):
```
11
Lattice="5.820 0.000 0.000 -2.910 5.040 0.000 0.000 0.000 6.147" Properties=species:S:1:pos:R:3 pbc="T T T"
Mg 0.000 0.000 0.000
Re 0.000 3.360 1.774
Re 2.910 1.680 4.373
O -0.196 1.712 1.198
O -1.329 4.354 1.198
O 0.000 3.360 3.506
O 1.385 1.026 4.949
O 1.525 4.014 1.198
O 2.910 1.680 2.641
O 4.239 0.686 4.949
O 3.106 3.328 4.949
```

---

# 2
The following is a DFT calculation (PBE) of a relaxed structure of AuBr.

## Properties
total energy after the MP2020 corrections	-2.8474	eV per atom
ΔH_f (0 K)	-0.39	eV per atom
V	259.4	Å³ per cell

Structure (extended XYZ):
```
8
Lattice="-3.745 3.745 4.624 3.745 -3.745 4.624 3.745 3.745 -4.624" Properties=species:S:1:pos:R:3 pbc="T T T"
Au 0.000 0.000 0.000
Au 1.872 1.872 -2.312
Au 1.872 -1.872 2.312
Au 0.000 3.745 0.000
Br 3.745 1.872 -0.731
Br 0.000 1.872 1.582
Br 3.745 1.872 3.043
Br 0.000 1.872 5.355
```

---

# 3
The following is a DFT calculation (PBE) of a relaxed structure of KAl11O17.

## Properties
E above lowest polymorph	0.000	eV per atom
total energy after the MP2020 corrections	-7.7404	eV per atom
ΔH_f (0 K)	-3.38	eV per atom
V	635.4	Å³ per cell

Structure (extended XYZ):
```
58
Lattice="2.826 -4.896 0.000 2.826 4.896 0.000 0.000 0.000 22.961" Properties=species:S:1:pos:R:3 pbc="T T T"
K 2.826 3.246 17.221
K 2.826 -3.246 5.740
Al 1.407 0.821 2.433
Al 1.407 0.821 9.048
Al 2.826 3.267 4.024
Al 2.826 3.267 7.457
Al 2.826 3.264 0.567
Al 2.826 3.264 10.913
Al 1.407 -0.821 13.913
Al 1.407 -0.821 20.528
Al 2.826 1.639 13.913
Al 2.826 1.639 20.528
Al 2.826 0.000 0.000
Al 2.826 0.000 11.481
Al 2.826 -1.639 2.433
Al 2.826 -1.639 9.048
Al 4.245 0.821 2.433
Al 4.245 0.821 9.048
Al 2.826 -3.264 12.048
Al 2.826 -3.264 22.394
Al 2.826 -3.267 15.504
Al 2.826 -3.267 18.937
Al 4.245 -0.821 13.913
Al 4.245 -0.821 20.528
O 1.433 2.459 14.806
O 1.433 2.459 19.635
O 2.826 4.872 14.802
O 2.826 4.872 19.640
O 2.826 3.277 5.740
O 2.826 3.263 12.746
O 2.826 3.263 21.695
O 1.494 0.770 12.613
O 1.494 0.770 21.829
O 1.494 -0.770 1.132
O 1.494 -0.770 10.348
O 2.826 1.538 1.134
O 2.826 1.538 10.347
O 4.219 2.459 14.806
O 4.219 2.459 19.635
O 2.826 0.000 3.225
O 2.826 0.000 8.256
O 2.826 0.000 14.705
O 2.826 0.000 19.736
O 1.433 -2.459 3.326
O 1.433 -2.459 8.155
O 2.826 -1.538 12.614
O 2.826 -1.538 21.827
O 4.158 0.770 12.613
O 4.158 0.770 21.829
O 4.158 -0.770 1.132
O 4.158 -0.770 10.348
O 2.826 -3.263 1.266
O 2.826 -3.263 10.215
O 2.826 -3.277 17.221
O 2.826 -4.872 3.321
O 2.826 -4.872 8.159
O 4.219 -2.459 3.326
O 4.219 -2.459 8.155
```

---

# 4
The following is a DFT calculation (PBE) of a relaxed structure of TeS7Cl2.

## Properties
E above lowest polymorph	0.000	eV per atom
total energy after the MP2020 corrections	-4.2043	eV per atom
ΔH_f (0 K)	-0.62	eV per atom
V	1304.8	Å³ per cell

Structure (extended XYZ):
```
40
Lattice="9.893 0.000 0.000 0.000 9.205 0.000 0.000 0.000 14.329" Properties=species:S:1:pos:R:3 pbc="T T T"
Te 1.744 2.301 1.484
Te 3.202 6.904 8.649
Te 6.691 2.301 5.680
Te 8.149 6.904 12.844
S 1.343 5.228 4.512
S 1.343 8.579 4.512
S 1.942 4.929 7.739
S 1.942 8.879 7.739
S 2.189 6.904 3.661
S 2.312 4.809 13.090
S 2.312 8.998 13.090
S 2.634 0.207 5.926
S 2.634 4.396 5.926
S 2.758 2.301 10.825
S 3.004 0.326 0.575
S 3.004 4.276 0.575
S 3.604 0.626 11.676
S 3.604 3.977 11.676
S 6.289 5.228 2.653
S 6.289 8.579 2.653
S 6.889 4.929 13.753
S 6.889 8.879 13.753
S 7.135 6.904 3.503
S 7.259 4.809 8.402
S 7.259 8.998 8.402
S 7.581 0.207 1.238
S 7.581 4.396 1.238
S 7.705 2.301 10.668
S 7.951 0.326 6.589
S 7.951 4.276 6.589
S 8.550 0.626 9.817
S 8.550 3.977 9.817
Cl 0.144 2.301 13.958
Cl 1.171 6.904 10.171
Cl 3.776 2.301 3.007
Cl 4.803 6.904 6.793
Cl 5.090 2.301 7.535
Cl 6.117 6.904 11.321
Cl 8.723 2.301 4.157
Cl 9.749 6.904 0.371
```

---

# 5
The following is a DFT calculation (PBE) of a relaxed structure of CuBO3.

## Properties
total energy after the MP2020 corrections	-5.8214	eV per atom
ΔH_f (0 K)	-0.70	eV per atom
V	37.6	Å³ per cell
total moment	1.97	μB/cell

Structure (extended XYZ):
```
5
Lattice="3.351 0.000 0.000 0.000 3.351 0.000 0.000 0.000 3.351" Properties=species:S:1:pos:R:3 pbc="T T T"
Cu 0.000 0.000 0.000
B 1.675 1.675 1.675
O 0.000 1.675 1.675
O 1.675 0.000 1.675
O 1.675 1.675 0.000
```

---

# 6
The following is a DFT calculation (PBE) of a relaxed structure of UIr.

## Properties
ΔH_f (0 K)	-0.50	eV per atom
V	328.8	Å³ per cell
total moment	13.03	μB/cell

Structure (extended XYZ):
```
16
Lattice="5.641 0.000 0.000 0.000 10.560 0.000 -0.912 0.000 5.520" Properties=species:S:1:pos:R:3 pbc="T T T"
U 0.221 1.405 2.277
U -0.235 3.876 5.036
U 1.451 6.745 3.597
U 1.907 9.095 0.838
U 2.822 1.465 4.682
U 3.278 3.815 1.922
U 4.964 6.685 0.483
U 4.508 9.156 3.243
Ir -0.024 1.094 5.035
Ir 0.432 4.186 2.275
Ir 2.159 6.338 0.890
Ir 1.703 9.502 3.650
Ir 3.026 1.058 1.870
Ir 2.570 4.222 4.630
Ir 4.297 6.375 3.245
Ir 4.753 9.466 0.485
```